# 1
VASP calculation (PBE) on a geometry-optimized InAgO2 structure.

a = 6.5670 Å, b = 6.5670 Å, c = 6.5670 Å
α = 29.03°, β = 29.03°, γ = 29.03°
Fractional positions:
O: 0.2742 0.2742 0.2742
Ag: 0.1578 0.1578 0.1578
O: 0.7291 0.7291 0.7291
In: 0.9979 0.9979 0.9979

Values from the calculation:
Energy   -19.249 eV/f.u.
Volume   14.74 A^3/atom

---

# 2
VASP calculation (PBE) on a geometry-optimized ZnAgPO4 structure.

a = 10.5706 Å, b = 5.2409 Å, c = 9.0662 Å
α = 55.12°, β = 90.00°, γ = 90.00°
Fractional positions:
Ag: 0.6079 0.1806 0.5213
Ag: 0.8921 0.1806 0.0213
O: 0.3359 0.6312 0.0433
O: 0.3321 0.3381 0.3890
O: 0.1218 0.9144 0.6890
Zn: 0.1592 0.3347 0.4746
O: 0.8359 0.3688 0.4567
P: 0.3952 0.6009 0.2086
P: 0.1048 0.6009 0.7086
O: 0.5384 0.5128 0.2256
O: 0.8321 0.6619 0.1110
O: 0.1641 0.6312 0.5433
Ag: 0.3921 0.8194 0.4787
P: 0.6048 0.3991 0.7914
O: 0.8782 0.0856 0.3110
O: 0.4616 0.4872 0.7744
Ag: 0.1079 0.8194 0.9787
P: 0.8952 0.3991 0.2914
Zn: 0.6592 0.6653 0.0254
Zn: 0.3408 0.3347 0.9746
O: 0.3782 0.9144 0.1890
Zn: 0.8408 0.6653 0.5254
O: 0.0384 0.4872 0.2744
O: 0.9616 0.5128 0.7256
O: 0.6679 0.6619 0.6110
O: 0.6218 0.0856 0.8110
O: 0.6641 0.3688 0.9567
O: 0.1679 0.3381 0.8890

Values from the calculation:
Energy relative to the lowest polymorph listed for this composition   0 meV/atom
Energy   -40.757 eV/f.u.
Volume   14.71 A^3/atom

---

# 3
VASP calculation (PBE) on a geometry-optimized Ga21Rh4 structure.

a = 20.5491 Å, b = 20.5491 Å, c = 6.5712 Å
α = 90.00°, β = 90.00°, γ = 161.61°
Fractional positions:
Ga: 0.2433 0.7567 0.0000
Ga: 0.2655 0.4372 0.8516
Ga: 0.7016 0.0072 0.6447
Ga: 0.2567 0.7433 0.5000
Ga: 0.0072 0.7016 0.6447
Ga: 0.1824 0.1142 0.6480
Ga: 0.7567 0.2433 0.0000
Ga: 0.5429 0.1349 0.1607
Rh: 0.4396 0.5604 0.5000
Ga: 0.3793 0.6207 0.5000
Ga: 0.4372 0.2655 0.8516
Ga: 0.2984 0.9928 0.3553
Ga: 0.5628 0.7345 0.1484
Ga: 0.3651 0.9571 0.6607
Rh: 0.5604 0.4396 0.5000
Rh: 0.0604 0.9396 0.0000
Ga: 0.3858 0.3176 0.1480
Ga: 0.9571 0.3651 0.6607
Ga: 0.1207 0.8793 0.0000
Ga: 0.2345 0.0628 0.3516
Ga: 0.9928 0.2984 0.3553
Ga: 0.4571 0.8651 0.8393
Ga: 0.7984 0.4928 0.1447
Rh: 0.3181 0.6819 0.5000
Ga: 0.5072 0.2016 0.8553
Ga: 0.7345 0.5628 0.1484
Ga: 0.6142 0.6824 0.8520
Ga: 0.5000 0.5000 0.5000
Ga: 0.1142 0.1824 0.6480
Ga: 0.8793 0.1207 0.0000
Ga: 0.8176 0.8858 0.3520
Ga: 0.2016 0.5072 0.8553
Ga: 0.1349 0.5429 0.1607
Ga: 0.6207 0.3793 0.5000
Rh: 0.9396 0.0604 0.0000
Ga: 0.0628 0.2345 0.3516
Ga: 0.4928 0.7984 0.1447
Ga: 0.9372 0.7655 0.6484
Ga: 0.8651 0.4571 0.8393
Ga: 0.0429 0.6349 0.3393
Rh: 0.6819 0.3181 0.5000
Ga: 0.7433 0.2567 0.5000
Ga: 0.3176 0.3858 0.1480
Ga: 0.8858 0.8176 0.3520
Ga: 0.0000 0.0000 0.0000
Ga: 0.6349 0.0429 0.3393
Ga: 0.6824 0.6142 0.8520
Rh: 0.8181 0.1819 0.0000
Rh: 0.1819 0.8181 0.0000
Ga: 0.7655 0.9372 0.6484

Values from the calculation:
Energy   -100.579 eV/f.u.
Volume   17.51 A^3/atom

---

# 4
VASP calculation (PBE) on a geometry-optimized Sm3NbO7 structure.

a = 7.6038 Å, b = 7.7228 Å, c = 10.8323 Å
α = 90.00°, β = 90.00°, γ = 90.00°
Fractional positions:
O: 0.4638 0.5488 0.6258
Sm: 0.7499 0.5373 0.9773
Sm: 0.2501 0.4627 0.0227
Sm: 0.2499 0.9627 0.5227
Sm: 0.7501 0.0373 0.0227
Nb: 0.9957 0.7464 0.7500
O: 0.7517 0.6682 0.7500
Sm: 0.5148 0.7017 0.2500
Sm: 0.7501 0.0373 0.4773
Sm: 0.2501 0.4627 0.4773
O: 0.7483 0.1682 0.2500
O: 0.2483 0.3318 0.2500
O: 0.2569 0.7316 0.1166
O: 0.9592 0.4083 0.1118
O: 0.7569 0.7684 0.3834
O: 0.2431 0.2316 0.8834
O: 0.4592 0.0917 0.1118
Nb: 0.5043 0.2464 0.2500
O: 0.7431 0.2684 0.8834
Sm: 0.4852 0.2983 0.7500
Nb: 0.4957 0.7536 0.7500
O: 0.9638 0.9512 0.6258
O: 0.2569 0.7316 0.3834
O: 0.5362 0.4512 0.3742
O: 0.0408 0.5917 0.6118
O: 0.7569 0.7684 0.1166
O: 0.4592 0.0917 0.3882
Sm: 0.7499 0.5373 0.5227
O: 0.5408 0.9083 0.8882
Sm: 0.9852 0.2017 0.7500
O: 0.0362 0.0488 0.1258
O: 0.9592 0.4083 0.3882
O: 0.5362 0.4512 0.1258
O: 0.4638 0.5488 0.8742
O: 0.5408 0.9083 0.6118
O: 0.0362 0.0488 0.3742
O: 0.0408 0.5917 0.8882
O: 0.7431 0.2684 0.6166
O: 0.9638 0.9512 0.8742
Sm: 0.0148 0.7983 0.2500
O: 0.2431 0.2316 0.6166
Sm: 0.2499 0.9627 0.9773
O: 0.2517 0.8318 0.7500
Nb: 0.0043 0.2536 0.2500

Values from the calculation:
Energy relative to the lowest polymorph listed for this composition   2 meV/atom
Energy   -94.587 eV/f.u.
Volume   14.46 A^3/atom

---

# 5
VASP calculation (PBE) on a geometry-optimized K2U2O5 structure.

a = 4.3584 Å, b = 4.3584 Å, c = 8.6235 Å
α = 90.00°, β = 90.00°, γ = 90.00°
Fractional positions:
K: 0.0000 0.0000 0.5000
O: 0.0000 0.5000 0.7759
O: 0.0000 0.5000 0.2241
O: 0.5000 0.5000 0.5000
U: 0.5000 0.5000 0.7509
K: 0.0000 0.0000 0.0000
O: 0.5000 0.0000 0.2241
U: 0.5000 0.5000 0.2491
O: 0.5000 0.0000 0.7759

Values from the calculation:
Energy   -73.144 eV/f.u.
Volume   18.20 A^3/atom

---

# 6
VASP calculation (PBE) on a geometry-optimized MgTi2S2Cl12O2 structure.

a = 6.9719 Å, b = 8.3402 Å, c = 11.2560 Å
α = 110.26°, β = 90.33°, γ = 108.88°
Fractional positions:
Cl: 0.6391 0.5174 0.8256
O: 0.2559 0.0995 0.1984
Cl: 0.0804 0.8448 0.3231
Cl: 0.1702 0.0924 0.9280
Cl: 0.1364 0.6887 0.9396
Ti: 0.9028 0.7716 0.8662
Cl: 0.0088 0.6943 0.6555
S: 0.3187 0.9821 0.2541
Ti: 0.0892 0.2305 0.1383
Cl: 0.8668 0.3277 0.0691
Cl: 0.9992 0.2202 0.6596
S: 0.6409 0.9597 0.7107
Mg: 0.8607 0.3609 0.5581
Cl: 0.5123 0.2628 0.5053
Cl: 0.8089 0.9128 0.0702
Cl: 0.9777 0.2894 0.3428
O: 0.7286 0.8886 0.7956
Cl: 0.3662 0.4776 0.1863
Cl: 0.5444 0.7619 0.5345

Values from the calculation:
Energy relative to the lowest polymorph listed for this composition   21 meV/atom
Energy   -80.611 eV/f.u.
Volume   30.31 A^3/atom

---

# 7
VASP calculation (PBE) on a geometry-optimized Cd5As4O20 structure.

a = 10.3850 Å, b = 10.3850 Å, c = 10.1063 Å
α = 84.99°, β = 84.99°, γ = 54.81°
Fractional positions:
O: 0.2202 0.3450 0.4968
O: 0.4788 0.4192 0.7938
O: 0.6788 0.9094 0.6890
O: 0.9094 0.6788 0.1890
O: 0.8707 0.4492 0.3690
O: 0.3450 0.7992 0.3373
Cd: 0.8925 0.1075 0.7500
As: 0.8866 0.2757 0.4155
O: 0.6550 0.7798 0.0032
O: 0.3450 0.2202 0.9968
O: 0.9212 0.3997 0.0517
Cd: 0.8045 0.8430 0.3646
O: 0.0906 0.3212 0.8110
O: 0.2037 0.3851 0.1680
Cd: 0.1075 0.8925 0.2500
O: 0.7798 0.6550 0.5032
O: 0.6897 0.2988 0.0707
O: 0.6003 0.0788 0.4483
As: 0.5835 0.0962 0.6180
As: 0.2757 0.8866 0.9155
O: 0.6550 0.2008 0.6627
O: 0.7012 0.3103 0.4293
As: 0.4165 0.9038 0.3820
As: 0.0962 0.5835 0.1180
O: 0.4192 0.4788 0.2938
O: 0.3103 0.7012 0.9293
O: 0.0788 0.6003 0.9483
O: 0.5212 0.5808 0.2062
O: 0.8499 0.9935 0.2086
Cd: 0.2609 0.4026 0.8153
O: 0.0267 0.8024 0.4340
O: 0.5508 0.1293 0.1310
O: 0.8024 0.0267 0.9340
O: 0.2008 0.6550 0.1627
Cd: 0.1570 0.1955 0.1354
O: 0.2988 0.6897 0.5707
Cd: 0.4026 0.2609 0.3153
O: 0.7992 0.3450 0.8373
Cd: 0.8430 0.8045 0.8646
O: 0.1501 0.0065 0.7914
O: 0.1976 0.9733 0.0660
As: 0.7243 0.1134 0.0845
O: 0.3212 0.0906 0.3110
Cd: 0.1955 0.1570 0.6354
Cd: 0.5974 0.7391 0.6847
O: 0.3997 0.9212 0.5517
O: 0.7963 0.6149 0.8320
O: 0.9935 0.8499 0.7086
As: 0.1134 0.7243 0.5845
O: 0.5808 0.5212 0.7062
Cd: 0.7391 0.5974 0.1847
O: 0.4492 0.8707 0.8690
O: 0.1293 0.5508 0.6310
As: 0.9038 0.4165 0.8820
O: 0.6149 0.7963 0.3320
O: 0.9733 0.1976 0.5660
O: 0.3851 0.2037 0.6680
O: 0.0065 0.1501 0.2914

Values from the calculation:
Energy   -139.548 eV/f.u.
Volume   15.28 A^3/atom

---

# 8
VASP calculation (PBE) on a geometry-optimized NpGa4 structure.

a = 7.9109 Å, b = 7.9109 Å, c = 7.9109 Å
α = 147.95°, β = 133.29°, γ = 57.77°
Fractional positions:
Ga: 0.5000 0.5000 0.0000
Np: 0.6370 0.8870 0.7500
Ga: 0.1697 0.6984 0.4713
Ga: 0.2729 0.3016 0.9713
Ga: 0.1442 0.8942 0.2500
Ga: 0.8558 0.1058 0.7500
Ga: 0.0000 0.5000 0.5000
Ga: 0.8303 0.3016 0.5287
Ga: 0.7271 0.6984 0.0287
Np: 0.3630 0.1130 0.2500

Values from the calculation:
Energy   -25.888 eV/f.u.
Volume   18.97 A^3/atom

---

# 9
VASP calculation (PBE) on a geometry-optimized CeNiC2 structure.

a = 3.7681 Å, b = 3.7681 Å, c = 3.8228 Å
α = 90.00°, β = 90.00°, γ = 105.77°
Fractional positions:
Ce: 0.0057 0.9943 0.0000
Ni: 0.3999 0.6001 0.5000
C: 0.8641 0.4414 0.5000
C: 0.5586 0.1359 0.5000

Values from the calculation:
Energy   -31.084 eV/f.u.
Volume   13.06 A^3/atom

---

# 10
VASP calculation (PBE) on a geometry-optimized Nb4Pd structure.

a = 11.6887 Å, b = 11.5966 Å, c = 2.8260 Å
α = 84.89°, β = 81.18°, γ = 13.93°
Fractional positions:
Nb: 0.8023 0.8023 0.1977
Nb: 0.5955 0.5955 0.4045
Nb: 0.1977 0.1977 0.8023
Nb: 0.4045 0.4045 0.5955
Pd: 0.0000 0.0000 0.0000

Values from the calculation:
Energy   -46.169 eV/f.u.
Volume   17.65 A^3/atom

---

# 11
VASP calculation (PBE) on a geometry-optimized Sr3W2N4 structure.

a = 6.0110 Å, b = 10.6103 Å, c = 9.8695 Å
α = 90.00°, β = 90.00°, γ = 90.00°
Fractional positions:
W: 0.8796 0.7500 0.7500
N: 0.8299 0.3471 0.6266
N: 0.0088 0.4175 0.1614
W: 0.7500 0.5000 0.7359
W: 0.1204 0.2500 0.2500
Sr: 0.6199 0.1593 0.4195
Sr: 0.2500 0.5000 0.6011
Sr: 0.3801 0.8407 0.5805
N: 0.1701 0.6529 0.3734
Sr: 0.8801 0.8407 0.4195
Sr: 0.1199 0.1593 0.5805
N: 0.4912 0.9175 0.3386
N: 0.1701 0.8471 0.1266
N: 0.9912 0.9175 0.6614
W: 0.6204 0.2500 0.7500
N: 0.3299 0.1529 0.1266
Sr: 0.8801 0.6593 0.0805
Sr: 0.1199 0.3407 0.9195
N: 0.9912 0.5825 0.8386
N: 0.4912 0.5825 0.1614
N: 0.6701 0.6529 0.6266
Sr: 0.2500 0.0000 0.8989
Sr: 0.7500 0.5000 0.3989
N: 0.5088 0.0825 0.6614
Sr: 0.3801 0.6593 0.9195
N: 0.8299 0.1529 0.8734
W: 0.3796 0.7500 0.2500
Sr: 0.7500 0.0000 0.1011
N: 0.0088 0.0825 0.3386
W: 0.2500 0.5000 0.2641
Sr: 0.6199 0.3407 0.0805
W: 0.7500 0.0000 0.7641
N: 0.6701 0.8471 0.8734
N: 0.5088 0.4175 0.8386
W: 0.2500 0.0000 0.2359
N: 0.3299 0.3471 0.3734

Values from the calculation:
Energy relative to the lowest polymorph listed for this composition   0 meV/atom
Energy   -69.281 eV/f.u.
Volume   17.48 A^3/atom

---

# 12
VASP calculation (PBE) on a geometry-optimized CsS2N3 structure.

a = 8.1787 Å, b = 12.9701 Å, c = 11.0634 Å
α = 90.00°, β = 97.96°, γ = 37.54°
Fractional positions:
S: 0.6455 0.9347 0.2022
N: 0.2658 0.5223 0.2050
N: 0.1295 0.7951 0.2694
Cs: 0.0000 0.0982 0.2500
N: 0.1268 0.6975 0.9805
S: 0.1761 0.5754 0.0534
N: 0.2658 0.2119 0.7050
N: 0.7342 0.4777 0.7950
S: 0.8239 0.7515 0.4466
N: 0.8732 0.8242 0.5195
S: 0.3545 0.0653 0.7978
S: 0.6455 0.4198 0.7022
S: 0.8239 0.4246 0.9466
N: 0.8705 0.2049 0.7306
Cs: 0.0000 0.5672 0.7500
N: 0.1268 0.1758 0.4805
Cs: 0.0000 0.9018 0.7500
Cs: 0.0000 0.4328 0.2500
N: 0.8732 0.3025 0.0195
N: 0.1295 0.0754 0.7694
S: 0.1761 0.2485 0.5534
N: 0.8705 0.9246 0.2306
N: 0.7342 0.7881 0.2950
S: 0.3545 0.5802 0.2978

Values from the calculation:
Energy   -32.715 eV/f.u.
Volume   29.01 A^3/atom

---

# 13
VASP calculation (PBE) on a geometry-optimized Cu3Sb structure.

a = 3.8973 Å, b = 3.8973 Å, c = 3.8973 Å
α = 90.00°, β = 90.00°, γ = 90.00°
Fractional positions:
Cu: 0.5000 0.0000 0.5000
Cu: 0.5000 0.5000 0.0000
Sb: 0.0000 0.0000 0.0000
Cu: 0.0000 0.5000 0.5000

Values from the calculation:
Energy   -16.091 eV/f.u.
Volume   14.80 A^3/atom

---

# 14
VASP calculation (PBE) on a geometry-optimized CsMg14Sn structure.

a = 6.6295 Å, b = 6.7464 Å, c = 10.6176 Å
α = 90.00°, β = 90.00°, γ = 120.59°
Fractional positions:
Mg: 0.8327 0.1664 0.8813
Mg: 0.8176 0.6588 0.3943
Mg: 0.6698 0.3306 0.6250
Cs: 0.1606 0.8303 0.1250
Mg: 0.6698 0.8392 0.6250
Mg: 0.3374 0.1796 0.8591
Mg: 0.3374 0.6577 0.8591
Mg: 0.6591 0.3341 0.1250
Mg: 0.6591 0.8250 0.1250
Sn: 0.1994 0.3497 0.1250
Mg: 0.8327 0.1664 0.3687
Mg: 0.3374 0.6577 0.3909
Mg: 0.8176 0.6588 0.8557
Mg: 0.1629 0.3315 0.6250
Mg: 0.3374 0.1796 0.3909
Mg: 0.1692 0.8346 0.6250

Values from the calculation:
Energy relative to the lowest polymorph listed for this composition   0 meV/atom
Energy   -25.210 eV/f.u.
Volume   25.55 A^3/atom

---

# 15
VASP calculation (PBE) on a geometry-optimized Mg3Bi structure.

a = 6.5635 Å, b = 6.5635 Å, c = 5.3235 Å
α = 90.00°, β = 90.00°, γ = 120.00°
Fractional positions:
Bi: 0.6667 0.3333 0.7500
Mg: 0.8392 0.6784 0.2500
Mg: 0.1608 0.8392 0.7500
Bi: 0.3333 0.6667 0.2500
Mg: 0.6784 0.8392 0.7500
Mg: 0.8392 0.1608 0.2500
Mg: 0.1608 0.3216 0.7500
Mg: 0.3216 0.1608 0.2500

Values from the calculation:
Energy   -8.983 eV/f.u.
Volume   24.83 A^3/atom